1.
## KMg6B (PBE)

Data for a relaxed structure of KMg6B.

The structure in extended XYZ format:
```
16
Lattice="-1.4751 -1.7294 3.9149 -4.4775 -3.0074 -3.0155 8.7387 -11.3046 -1.7012" Properties=species:S:1:pos:R:3 pbc="T T T"
Mg 3.2683 -4.2280 -0.6363
Mg 7.1438 -9.2414 -1.3907
Mg 5.3989 -11.3839 -2.9947
K 1.0444 -3.1699 1.6105
B -2.4440 -3.0570 0.3460
Mg 4.0546 -7.2334 -1.6677
Mg -0.1585 -8.0682 -1.0066
Mg 0.5357 -5.0928 -2.0479
Mg -2.5535 -3.0848 -2.3248
Mg 1.9325 -6.6637 0.4017
Mg 4.0632 -13.8197 -1.9566
Mg 6.4495 -12.2168 -0.3494
K 3.1751 -10.3259 -0.7479
Mg 1.6005 -8.8817 -3.3205
Mg -0.5301 -1.7257 -0.9621
B 4.1641 -7.2056 1.0032
```

Results
Magnetization   0.0 μB per formula unit
ρ   1.61 g cm⁻³
Energy of formation   39.8 kJ/mol of atoms

2.
## KMg6BO8 (PBE)

Data for a relaxed structure of KMg6BO8.

The structure in extended XYZ format:
```
16
Lattice="-1.8802 -7.1608 2.8537 1.7300 1.2048 4.1630 -4.1904 1.6087 1.2758" Properties=species:S:1:pos:R:3 pbc="T T T"
O -3.0353 -2.7761 2.0648
B -0.9401 -3.5804 1.4269
O -2.6404 -3.9643 4.8599
O -1.2622 -4.8072 1.9158
O -0.0751 -2.9780 3.5084
O -1.7001 -0.3830 3.4326
Mg -2.5775 -1.0326 1.3699
Mg -1.2302 1.4067 2.7194
K 0.0000 0.0000 0.0000
O 0.8650 0.6024 2.0815
Mg -3.4931 -4.5196 2.7596
Mg 0.3827 -1.2345 2.8135
Mg -2.1703 -2.1737 4.1463
O -0.6180 -2.3536 0.9380
Mg -0.5329 -4.7215 4.2032
O -2.0952 0.8043 0.6379
```

Results
Magnetization   0.0 μB per formula unit
ρ   3.11 g cm⁻³
Energy of formation   -242.8 kJ/mol of atoms

Copy entry 1 word for word.
## KMg6B (PBE)

Data for a relaxed structure of KMg6B.

The structure in extended XYZ format:
```
16
Lattice="-1.4751 -1.7294 3.9149 -4.4775 -3.0074 -3.0155 8.7387 -11.3046 -1.7012" Properties=species:S:1:pos:R:3 pbc="T T T"
Mg 3.2683 -4.2280 -0.6363
Mg 7.1438 -9.2414 -1.3907
Mg 5.3989 -11.3839 -2.9947
K 1.0444 -3.1699 1.6105
B -2.4440 -3.0570 0.3460
Mg 4.0546 -7.2334 -1.6677
Mg -0.1585 -8.0682 -1.0066
Mg 0.5357 -5.0928 -2.0479
Mg -2.5535 -3.0848 -2.3248
Mg 1.9325 -6.6637 0.4017
Mg 4.0632 -13.8197 -1.9566
Mg 6.4495 -12.2168 -0.3494
K 3.1751 -10.3259 -0.7479
Mg 1.6005 -8.8817 -3.3205
Mg -0.5301 -1.7257 -0.9621
B 4.1641 -7.2056 1.0032
```

Results
Magnetization   0.0 μB per formula unit
ρ   1.61 g cm⁻³
Energy of formation   39.8 kJ/mol of atoms